Density functional theory data (PBE+U) for a geometry-optimized Zn2Mo2NO10 structure.

```
15
Lattice="5.081 -3.133 0.000 5.081 3.133 0.000 -3.621 0.000 7.008" Properties=species:S:1:pos:R:3 pbc="T T T"
Zn 2.540 1.567 0.000
Zn 2.540 -1.567 0.000
Mo -0.100 0.000 1.921
Mo 6.640 0.000 5.087
N 3.270 0.000 3.504
O -0.095 0.000 3.663
O 4.103 1.675 1.312
O 1.634 0.000 1.246
O 2.437 1.675 5.696
O -0.169 0.000 6.195
O 6.709 0.000 0.813
O 4.103 -1.675 1.312
O 4.907 0.000 5.762
O 2.437 -1.675 5.696
O 6.635 0.000 3.345
```

## Properties
Size of the total moment ... 0.994 μB/f.u.
E (MP2020) ... -6.3477 eV per atom
Energy relative to the elements ... -0.879 eV/atom



Density functional theory data (PBE+U) for a geometry-optimized NaNdMo2O8 structure.

```
12
Lattice="-2.675 2.675 5.830 2.675 -2.675 5.830 2.675 2.675 -5.830" Properties=species:S:1:pos:R:3 pbc="T T T"
Na 0.000 0.000 0.000
Nd 0.000 2.675 2.915
Mo 2.675 0.000 2.915
Mo 0.000 0.000 5.830
O 1.369 -0.813 1.963
O 3.488 -1.306 3.866
O 3.431 1.385 -1.017
O 3.981 0.813 1.963
O 1.385 1.919 1.017
O 1.862 1.306 3.866
O -0.756 1.290 4.813
O 1.290 0.756 6.846
```

## Properties
Size of the total moment ... 0.000 μB/f.u.
E (MP2020) ... -8.1233 eV per atom
Energy relative to the elements ... -2.510 eV/atom



Density functional theory data (PBE+U) for a geometry-optimized NaNi2Mo2O10 structure.

```
15
Lattice="4.948 -2.966 0.000 4.948 2.966 0.000 -3.829 0.000 6.902" Properties=species:S:1:pos:R:3 pbc="T T T"
Na 0.000 0.000 0.000
Ni 0.559 1.483 3.451
Ni 0.559 -1.483 3.451
Mo 3.343 0.000 1.567
Mo 2.724 0.000 5.335
O -0.325 0.000 4.033
O 1.677 1.466 5.107
O -1.025 0.000 6.820
O 4.389 1.466 1.795
O 1.824 0.000 2.646
O 4.243 0.000 4.256
O 1.677 -1.466 5.107
O 7.091 0.000 0.082
O 4.389 -1.466 1.795
O 6.392 0.000 2.869
```

## Properties
Size of the total moment ... 3.001 μB/f.u.
E (MP2020) ... -7.0901 eV per atom
Energy relative to the elements ... -1.486 eV/atom



Density functional theory data (PBE+U) for a geometry-optimized Na2MoO2 structure.

```
20
Lattice="0.000 6.291 8.235 5.580 0.000 8.235 5.580 6.291 0.000" Properties=species:S:1:pos:R:3 pbc="T T T"
Na 5.954 3.146 7.472
Na 5.954 6.290 4.880
Na 8.744 6.292 8.997
Na 2.417 3.146 4.880
Na 8.744 9.435 11.590
Na 2.417 6.290 7.472
Na 5.207 6.292 11.590
Na 5.207 9.435 8.997
Mo 5.580 3.145 4.117
Mo 2.790 6.291 4.117
Mo 2.790 3.145 8.235
Mo 5.580 6.291 8.235
O 4.168 1.947 4.028
O 6.992 5.093 8.146
O 4.202 1.947 8.324
O 4.202 7.489 4.028
O 6.958 5.093 12.441
O 6.958 10.634 8.146
O 4.168 7.489 8.324
O 6.992 10.634 12.441
```

## Properties
Size of the total moment ... 1.999 μB/f.u.
E (MP2020) ... -5.6495 eV per atom
Energy relative to the elements ... -0.972 eV/atom



Density functional theory data (PBE+U) for a geometry-optimized NaMoO3 structure.

```
10
Lattice="2.763 1.595 4.530 -2.763 1.595 4.530 0.000 -3.191 4.530" Properties=species:S:1:pos:R:3 pbc="T T T"
Na 0.000 0.000 0.000
Na 0.000 0.000 6.795
Mo 0.000 0.000 3.445
Mo 0.000 0.000 10.240
O -1.259 -1.008 4.582
O -2.520 -0.001 6.847
O -0.243 1.594 4.582
O 1.261 -2.182 6.847
O 1.502 -0.586 4.582
O 1.259 2.183 6.847
```

## Properties
Size of the total moment ... 1.001 μB/f.u.
E (MP2020) ... -7.4293 eV per atom
Energy relative to the elements ... -2.027 eV/atom



Density functional theory data (PBE+U) for a geometry-optimized Na3Mo18O52 structure.

```
73
Lattice="7.973 0.000 0.000 -3.345 9.732 0.000 -1.400 -5.162 14.568" Properties=species:S:1:pos:R:3 pbc="T T T"
Na 0.000 0.000 0.000
Na -2.757 4.742 6.584
Na 1.535 -1.732 12.313
Mo -3.347 6.211 9.629
Mo -0.342 0.260 5.692
Mo -1.239 6.483 1.504
Mo -1.609 0.567 12.553
Mo 1.171 3.464 1.758
Mo -0.938 3.932 10.783
Mo 0.553 0.430 9.892
Mo -0.460 6.910 5.250
Mo 0.712 3.817 5.854
Mo 2.409 -4.638 13.697
Mo 3.119 -2.127 8.805
Mo 2.635 0.935 7.192
Mo 3.358 3.058 4.143
Mo 4.205 3.866 0.723
Mo 3.038 1.466 12.376
Mo 2.548 7.294 6.804
Mo 5.843 1.213 2.718
Mo 5.544 -1.817 10.796
O -0.828 0.327 3.729
O -3.143 1.797 12.069
O -2.179 -1.223 12.752
O -0.320 -2.008 5.694
O -2.013 -0.013 10.524
O -2.607 7.943 1.217
O -2.545 6.847 5.512
O -2.613 4.400 10.027
O 0.394 1.932 1.428
O -0.359 2.214 5.650
O -0.247 0.504 7.858
O 0.097 -1.642 10.244
O -1.548 8.282 2.139
O -0.142 4.666 1.651
O -1.760 1.313 14.343
O -0.787 4.967 5.392
O -0.604 2.230 10.256
O 0.963 -4.981 14.554
O -1.490 6.366 8.559
O 1.457 -0.022 5.721
O 0.147 0.329 12.030
O 1.759 -4.107 12.013
O 0.059 6.638 3.114
O 0.796 1.535 8.122
O 1.429 3.673 3.720
O -0.453 3.510 12.615
O 2.190 4.046 0.255
O 0.357 7.928 3.730
O 2.182 -0.459 8.759
O 0.940 4.176 7.513
O 0.316 4.876 10.094
O 3.576 -1.814 6.855
O 3.123 2.844 2.147
O 2.501 2.572 5.842
O 2.909 -2.884 14.060
O 2.188 1.349 10.764
O 1.656 6.147 5.633
O 4.880 -0.012 1.582
O 3.581 -1.852 10.734
O 2.070 9.556 0.224
O 2.932 -0.031 13.392
O 4.511 1.466 4.053
O 5.136 -2.122 8.748
O 2.458 2.857 13.221
O 4.337 1.640 7.662
O 4.343 4.426 4.446
O 5.745 2.764 1.765
O 5.951 -0.551 6.298
O 5.181 5.371 1.414
O 6.317 -3.496 10.883
O 3.791 6.199 7.865
O 5.080 2.717 7.638
```

## Properties
Size of the total moment ... 18.999 μB/f.u.
E (MP2020) ... -7.5370 eV per atom
Energy relative to the elements ... -1.284 eV/atom



> Look up the E (MP2020) of the fourth one.

-5.6495 eV per atom



> Which value of E (MP2020) does entry 1 give?

-6.3477 eV per atom



> What is the energy relative to the elements in the third record?

-1.486 eV/atom